(1)
Entry from the Materials Project: MoPO5 after structural relaxation (GGA+U).

Lattice parameters (Å, degrees): 6.283 6.283 4.631 90.00 90.00 90.00
Fractional positions:
O 0.808 0.946 0.694
O 0.692 0.554 0.306
O 0.000 0.500 0.841
O 0.946 0.192 0.306
O 0.192 0.054 0.694
O 0.554 0.308 0.694
O 0.446 0.692 0.694
O 0.054 0.808 0.306
O 0.500 0.000 0.159
O 0.308 0.446 0.306
P 0.500 0.500 0.500
P 0.000 0.000 0.500
Mo 0.500 0.000 0.791
Mo 0.000 0.500 0.209

## Properties
- space group = P4/n
- polymorph energy (0 for the lowest one) (eV per formula unit) = 0.091

---

(2)
Entry from the Materials Project: YWO3 after structural relaxation (GGA+U).

Lattice parameters (Å, degrees): 4.103 4.103 4.103 90.00 90.00 90.00
Fractional positions:
O 0.000 0.500 0.500
O 0.500 0.500 0.000
O 0.500 0.000 0.500
Y 0.000 0.000 0.000
W 0.500 0.500 0.500

## Properties
- space group = Pm-3m
- total magnetization (μB per formula unit) = 2.98

---

(3)
Entry from the Materials Project: Na3CrMo6O32 after structural relaxation (GGA+U).

Lattice parameters (Å, degrees): 6.931 11.055 11.167 115.83 84.95 108.06
Fractional positions:
Mo 0.981 0.922 0.276
Mo 0.195 0.818 0.722
Mo 0.805 0.182 0.278
Mo 0.192 0.741 0.985
Mo 0.019 0.078 0.724
Mo 0.808 0.259 0.015
Na 0.200 0.557 0.416
Na 0.500 0.000 0.500
Na 0.800 0.443 0.584
O 0.010 0.120 0.333
O 0.027 0.245 0.888
O 0.392 0.743 0.066
O 0.065 0.180 0.109
O 0.244 0.136 0.657
O 0.148 0.631 0.258
O 0.756 0.864 0.343
O 0.170 0.954 0.097
O 0.440 0.448 0.216
O 0.852 0.369 0.742
O 0.990 0.880 0.667
O 0.923 0.436 0.125
O 0.177 0.933 0.371
O 0.332 0.811 0.858
O 0.811 0.977 0.136
O 0.432 0.450 0.502
O 0.823 0.067 0.629
O 0.830 0.046 0.903
O 0.390 0.853 0.621
O 0.067 0.637 0.628
O 0.077 0.564 0.875
O 0.610 0.147 0.379
O 0.483 0.485 0.849
O 0.560 0.552 0.784
O 0.568 0.550 0.498
O 0.973 0.755 0.112
O 0.935 0.820 0.891
O 0.608 0.257 0.934
O 0.668 0.189 0.142
O 0.933 0.363 0.372
O 0.517 0.515 0.151
O 0.189 0.023 0.864
Cr 0.000 0.000 0.000

## Properties
- space group = P-1
- total magnetization (μB per formula unit) = 10.99

---

(4)
Entry from the Materials Project: Li2Ni3SbO8 after structural relaxation (GGA+U).

Lattice parameters (Å, degrees): 5.813 5.813 9.513 90.00 90.00 120.00
Fractional positions:
O 0.183 0.856 0.593
O 0.333 0.667 0.119
O 0.817 0.673 0.093
O 0.667 0.333 0.619
O 0.000 0.000 0.299
O 0.457 0.489 0.345
O 0.543 0.032 0.845
O 0.511 0.968 0.345
O 0.032 0.543 0.345
O 0.489 0.457 0.845
O 0.673 0.817 0.593
O 0.000 0.000 0.799
O 0.856 0.183 0.093
O 0.327 0.144 0.093
O 0.968 0.511 0.845
O 0.144 0.327 0.593
Li 0.000 0.000 0.491
Li 0.333 0.667 0.902
Li 0.667 0.333 0.402
Li 0.000 0.000 0.991
Ni 0.826 0.661 0.714
Ni 0.835 0.174 0.714
Ni 0.174 0.835 0.214
Ni 0.165 0.339 0.214
Ni 0.661 0.826 0.214
Ni 0.339 0.165 0.714
Sb 0.667 0.333 0.986
Sb 0.333 0.667 0.486

## Properties
- space group = P31c
- polymorph energy (0 for the lowest one) (eV per formula unit) = 0.193
- total magnetization (μB per formula unit) = 3.00

---

(5)
Entry from the Materials Project: Li2V2Si2O9 after structural relaxation (GGA+U).

Lattice parameters (Å, degrees): 5.265 8.415 14.175 90.00 90.00 90.00
Fractional positions:
O 0.455 0.262 0.932
O 0.511 0.500 0.250
O 0.456 0.829 0.771
O 0.045 0.762 0.068
O 0.455 0.738 0.568
O 0.044 0.329 0.229
O 0.545 0.738 0.068
O 0.956 0.671 0.771
O 0.489 0.500 0.750
O 0.544 0.171 0.229
O 0.242 0.516 0.424
O 0.289 0.652 0.911
O 0.742 0.984 0.424
O 0.758 0.484 0.576
O 0.211 0.848 0.411
O 0.289 0.348 0.589
O 0.456 0.171 0.729
O 0.711 0.348 0.089
O 0.258 0.016 0.576
O 0.011 0.000 0.250
O 0.955 0.238 0.932
O 0.045 0.238 0.432
O 0.711 0.652 0.411
O 0.955 0.762 0.568
O 0.544 0.829 0.271
O 0.545 0.262 0.432
O 0.989 0.000 0.750
O 0.044 0.671 0.271
O 0.242 0.484 0.076
O 0.789 0.848 0.911
O 0.258 0.984 0.924
O 0.742 0.016 0.076
O 0.956 0.329 0.729
O 0.758 0.516 0.924
O 0.211 0.152 0.089
O 0.789 0.152 0.589
V 0.875 0.159 0.172
V 0.375 0.659 0.328
V 0.625 0.659 0.828
V 0.125 0.841 0.828
V 0.875 0.841 0.328
V 0.625 0.341 0.672
V 0.375 0.341 0.172
V 0.125 0.159 0.672
Li 0.599 0.963 0.657
Li 0.401 0.963 0.157
Li 0.901 0.537 0.157
Li 0.901 0.463 0.343
Li 0.401 0.037 0.343
Li 0.099 0.537 0.657
Li 0.599 0.037 0.843
Li 0.099 0.463 0.843
Si 0.715 0.655 0.527
Si 0.285 0.655 0.027
Si 0.785 0.845 0.027
Si 0.215 0.845 0.527
Si 0.285 0.345 0.473
Si 0.715 0.345 0.973
Si 0.215 0.155 0.973
Si 0.785 0.155 0.473

## Properties
- space group = Pbcn
- total magnetization (μB per formula unit) = 2.00

---

(6)
Entry from the Materials Project: Li3Mn2O5 after structural relaxation (GGA+U).

Lattice parameters (Å, degrees): 2.887 9.875 6.744 103.10 77.64 90.00
Fractional positions:
O 0.651 0.530 0.697
O 0.252 0.732 0.497
O 0.139 0.046 0.723
O 0.549 0.870 0.903
O 0.455 0.135 0.090
O 0.863 0.943 0.274
O 0.337 0.457 0.326
O 0.949 0.668 0.103
O 0.745 0.265 0.510
O 0.061 0.354 0.877
Li 0.694 0.909 0.613
Li 0.906 0.298 0.188
Li 0.294 0.102 0.412
Li 0.100 0.700 0.800
Li 0.600 0.200 0.800
Li 0.506 0.491 0.987
Mn 0.401 0.803 0.197
Mn 0.190 0.392 0.619
Mn 0.009 0.008 0.981
Mn 0.799 0.597 0.403

## Properties
- space group = C2/m
- polymorph energy (0 for the lowest one) (eV per formula unit) = 0.317
- total magnetization (μB per formula unit) = 0.00

---

no.,total DFT energy (no corrections) (eV/atom)
1,-7.252
2,-7.709
3,-5.989
4,-5.236
5,-7.291
6,-6.321